PuNi5: optimized geometry, r2SCAN.

a b c (Å): 4.854 4.854 3.906
angles (deg): 90.00 90.00 120.00
Fractional positions:
Pu: 0.000 0.000 0.000
Ni: 0.333 0.667 0.000
Ni: 0.667 0.333 0.000
Ni: 0.500 0.000 0.500
Ni: 0.500 0.500 0.500
Ni: 0.000 0.500 0.500

Calculated values
Size of the total moment ... 2.933 Bohr magnetons per cell
SG ... P6/mmm
DFT formation energy ... -24 kJ/mol of atoms

***

PuTe3: optimized geometry, r2SCAN.

a b c (Å): 13.260 13.260 4.374
angles (deg): 90.00 90.00 160.97
Fractional positions:
Pu: 0.171 0.829 0.750
Pu: 0.829 0.171 0.250
Te: 0.925 0.075 0.750
Te: 0.075 0.925 0.250
Te: 0.575 0.425 0.750
Te: 0.425 0.575 0.250
Te: 0.296 0.704 0.750
Te: 0.704 0.296 0.250

Calculated values
Size of the total moment ... 9.714 Bohr magnetons per cell
SG ... Cmcm
DFT formation energy ... -95 kJ/mol of atoms

***

Rb3YCl6: optimized geometry, r2SCAN.

a b c (Å): 13.515 13.515 12.823
angles (deg): 80.84 80.84 34.08
Fractional positions:
Rb: 0.203 0.697 0.934
Rb: 0.350 0.975 0.195
Rb: 0.837 0.470 0.353
Rb: 0.697 0.203 0.434
Rb: 0.530 0.163 0.147
Rb: 0.470 0.837 0.853
Rb: 0.797 0.303 0.066
Rb: 0.303 0.797 0.566
Rb: 0.975 0.350 0.695
Rb: 0.650 0.025 0.805
Rb: 0.025 0.650 0.305
Rb: 0.163 0.530 0.647
Y: 0.207 0.793 0.250
Y: 0.793 0.207 0.750
Y: 0.000 0.500 0.000
Y: 0.500 0.000 0.500
Cl: 0.616 0.723 0.578
Cl: 0.374 0.505 0.180
Cl: 0.149 0.208 0.966
Cl: 0.505 0.374 0.680
Cl: 0.138 0.363 0.189
Cl: 0.851 0.792 0.034
Cl: 0.792 0.851 0.534
Cl: 0.626 0.495 0.820
Cl: 0.897 0.980 0.204
Cl: 0.020 0.103 0.296
Cl: 0.723 0.616 0.078
Cl: 0.637 0.862 0.311
Cl: 0.384 0.277 0.422
Cl: 0.208 0.149 0.466
Cl: 0.495 0.626 0.320
Cl: 0.275 0.838 0.061
Cl: 0.838 0.275 0.561
Cl: 0.162 0.725 0.439
Cl: 0.862 0.637 0.811
Cl: 0.980 0.897 0.704
Cl: 0.103 0.020 0.796
Cl: 0.725 0.162 0.939
Cl: 0.277 0.384 0.922
Cl: 0.363 0.138 0.689

Calculated values
Size of the total moment ... 0.000 Bohr magnetons per cell
SG ... C2/c
DFT formation energy ... -230 kJ/mol of atoms

***

In2Ni3S2: optimized geometry, r2SCAN.

a b c (Å): 5.462 5.462 5.462
angles (deg): 58.98 58.98 58.98
Fractional positions:
In: 0.500 0.500 0.500
In: 0.000 0.000 0.000
Ni: 0.500 0.000 0.000
Ni: 0.000 0.500 0.000
Ni: 0.000 0.000 0.500
S: 0.723 0.723 0.723
S: 0.277 0.277 0.277

Calculated values
Size of the total moment ... 0.000 Bohr magnetons per cell
SG ... R-3m
DFT formation energy ... -46 kJ/mol of atoms

***

Zn3Sn2Pt2: optimized geometry, r2SCAN.

a b c (Å): 4.340 4.340 15.610
angles (deg): 90.00 90.00 120.00
Fractional positions:
Zn: 0.000 0.000 0.169
Zn: 0.000 0.000 0.831
Zn: 0.000 0.000 0.669
Zn: 0.000 0.000 0.331
Zn: 0.333 0.667 0.750
Zn: 0.667 0.333 0.250
Sn: 0.333 0.667 0.073
Sn: 0.667 0.333 0.927
Sn: 0.667 0.333 0.573
Sn: 0.333 0.667 0.427
Pt: 0.000 0.000 0.000
Pt: 0.000 0.000 0.500
Pt: 0.333 0.667 0.250
Pt: 0.667 0.333 0.750

Calculated values
Size of the total moment ... 0.000 Bohr magnetons per cell
SG ... P6_3/mmc
DFT formation energy ... -46 kJ/mol of atoms

***

ZrNbAl6: optimized geometry, r2SCAN.

a b c (Å): 3.883 3.883 8.801
angles (deg): 90.00 90.00 90.00
Fractional positions:
Zr: 0.500 0.500 0.500
Nb: 0.000 0.000 0.000
Al: 0.500 0.500 0.000
Al: 0.000 0.000 0.500
Al: 0.000 0.500 0.244
Al: 0.500 0.000 0.756
Al: 0.500 0.000 0.244
Al: 0.000 0.500 0.756

Calculated values
Size of the total moment ... 0.000 Bohr magnetons per cell
SG ... P4/mmm
DFT formation energy ... -47 kJ/mol of atoms

***

Mn: optimized geometry, r2SCAN.

a b c (Å): 2.413 2.413 2.413
angles (deg): 109.47 109.47 109.47
Fractional positions:
Mn: 0.000 0.000 0.000

Calculated values
Relative energy among the computed polymorphs ... 370 meV per atom
Size of the total moment ... 1.147 Bohr magnetons per cell
SG ... Im-3m
DFT formation energy ... 36 kJ/mol of atoms

***

Al2Te2Cl7: optimized geometry, r2SCAN.

a b c (Å): 11.307 9.278 13.201
angles (deg): 88.38 90.00 90.00
Fractional positions:
Al: 0.178 0.119 0.297
Al: 0.678 0.881 0.203
Al: 0.822 0.881 0.703
Al: 0.322 0.119 0.797
Al: 0.079 0.739 0.343
Al: 0.579 0.261 0.157
Al: 0.921 0.261 0.657
Al: 0.421 0.739 0.843
Te: 0.155 0.435 0.034
Te: 0.655 0.565 0.466
Te: 0.845 0.565 0.966
Te: 0.345 0.435 0.534
Te: 0.936 0.322 0.051
Te: 0.436 0.678 0.449
Te: 0.064 0.678 0.949
Te: 0.564 0.322 0.551
Cl: 0.171 0.103 0.136
Cl: 0.671 0.897 0.364
Cl: 0.829 0.897 0.864
Cl: 0.329 0.103 0.636
Cl: 0.124 0.325 0.342
Cl: 0.624 0.675 0.158
Cl: 0.876 0.675 0.658
Cl: 0.376 0.325 0.842
Cl: 0.335 0.043 0.367
Cl: 0.835 0.957 0.133
Cl: 0.665 0.957 0.633
Cl: 0.165 0.043 0.867
Cl: 0.030 0.975 0.355
Cl: 0.530 0.025 0.145
Cl: 0.970 0.025 0.645
Cl: 0.470 0.975 0.855
Cl: 0.142 0.685 0.492
Cl: 0.642 0.315 0.008
Cl: 0.858 0.315 0.508
Cl: 0.358 0.685 0.992
Cl: 0.216 0.725 0.234
Cl: 0.716 0.275 0.266
Cl: 0.784 0.275 0.766
Cl: 0.284 0.725 0.734
Cl: 0.921 0.635 0.304
Cl: 0.421 0.365 0.196
Cl: 0.079 0.365 0.696
Cl: 0.579 0.635 0.804

Calculated values
Size of the total moment ... 0.000 Bohr magnetons per cell
SG ... P2_1/c
DFT formation energy ... -128 kJ/mol of atoms

***

Cs2PtCl6: optimized geometry, r2SCAN.

a b c (Å): 7.311 7.311 7.311
angles (deg): 60.00 60.00 60.00
Fractional positions:
Cs: 0.250 0.250 0.250
Cs: 0.750 0.750 0.750
Pt: 0.000 0.000 0.000
Cl: 0.226 0.774 0.774
Cl: 0.226 0.774 0.226
Cl: 0.774 0.226 0.774
Cl: 0.774 0.226 0.226
Cl: 0.774 0.774 0.226
Cl: 0.226 0.226 0.774

Calculated values
Size of the total moment ... 0.000 Bohr magnetons per cell
SG ... Fm-3m
DFT formation energy ... -138 kJ/mol of atoms

***

AlGaCo2: optimized geometry, r2SCAN.

a b c (Å): 2.853 2.853 5.609
angles (deg): 90.00 90.00 90.00
Fractional positions:
Al: 0.000 0.000 0.000
Ga: 0.000 0.000 0.500
Co: 0.500 0.500 0.250
Co: 0.500 0.500 0.750

Calculated values
Size of the total moment ... 0.498 Bohr magnetons per cell
SG ... P4/mmm
DFT formation energy ... -36 kJ/mol of atoms

***

Rb2AgBiCl6: optimized geometry, r2SCAN.

a b c (Å): 7.590 7.590 7.590
angles (deg): 60.00 60.00 60.00
Fractional positions:
Rb: 0.750 0.750 0.750
Rb: 0.250 0.250 0.250
Ag: 0.500 0.500 0.500
Bi: 0.000 0.000 0.000
Cl: 0.749 0.251 0.251
Cl: 0.251 0.251 0.749
Cl: 0.251 0.749 0.749
Cl: 0.251 0.749 0.251
Cl: 0.749 0.251 0.749
Cl: 0.749 0.749 0.251

Calculated values
Size of the total moment ... 0.000 Bohr magnetons per cell
SG ... Fm-3m
DFT formation energy ... -140 kJ/mol of atoms

***

Ba2UCu2S5: optimized geometry, r2SCAN.

a b c (Å): 7.133 7.133 9.374
angles (deg): 65.25 65.25 33.34
Fractional positions:
Ba: 0.177 0.177 0.300
Ba: 0.823 0.823 0.700
U: 0.000 0.000 0.000
Cu: 0.553 0.553 0.702
Cu: 0.447 0.447 0.298
S: 0.389 0.389 0.935
S: 0.143 0.143 0.694
S: 0.611 0.611 0.065
S: 0.500 0.500 0.500
S: 0.857 0.857 0.306

Calculated values
Size of the total moment ... 2.000 Bohr magnetons per cell
SG ... C2/m
DFT formation energy ... -161 kJ/mol of atoms